(1)
A relaxed CoGe crystal. Source: the Materials Project, functional meta-GGA r2SCAN.

Lattice parameters (Å, degrees): 4.5795 4.5795 4.5795 90.00 90.00 90.00
Element x y z (fractional)
Ge 0.1602 0.3398 0.6602
Ge 0.8398 0.8398 0.8398
Ge 0.3398 0.6602 0.1602
Ge 0.6602 0.1602 0.3398
Co 0.1368 0.1368 0.1368
Co 0.3632 0.8632 0.6368
Co 0.8632 0.6368 0.3632
Co 0.6368 0.3632 0.8632

Space-group type: No. 198
Formation enthalpy at 0 K (eV per atom): -0.049

---

(2)
A relaxed Ta2CdO6 crystal. Source: the Materials Project, functional meta-GGA r2SCAN.

Lattice parameters (Å, degrees): 5.1497 5.9005 14.8429 90.00 90.00 90.00
Element x y z (fractional)
Ta 0.2665 0.3240 0.3346
Ta 0.7335 0.6760 0.6654
Ta 0.7665 0.6760 0.3346
Ta 0.2665 0.8240 0.1654
Ta 0.2335 0.8240 0.8346
Ta 0.7335 0.1760 0.8346
Ta 0.2335 0.3240 0.6654
Ta 0.7665 0.1760 0.1654
O 0.5512 0.9101 0.8958
O 0.1078 0.1189 0.5863
O 0.4097 0.1323 0.7555
O 0.0903 0.1323 0.2445
O 0.0512 0.5899 0.6042
O 0.9488 0.4101 0.3958
O 0.0903 0.6323 0.2555
O 0.0512 0.0899 0.8958
O 0.9488 0.9101 0.1042
O 0.8922 0.3811 0.0863
O 0.4488 0.0899 0.1042
O 0.4488 0.5899 0.3958
O 0.5903 0.8677 0.2445
O 0.8922 0.8811 0.4137
O 0.5903 0.3677 0.2555
O 0.9097 0.3677 0.7445
O 0.4097 0.6323 0.7445
O 0.1078 0.6189 0.9137
O 0.6078 0.3811 0.9137
O 0.3922 0.1189 0.4137
O 0.5512 0.4101 0.6042
O 0.3922 0.6189 0.0863
O 0.6078 0.8811 0.5863
O 0.9097 0.8677 0.7555
Cd 0.2500 0.3125 0.0000
Cd 0.2500 0.8125 0.5000
Cd 0.7500 0.6875 0.0000
Cd 0.7500 0.1875 0.5000

Space-group type: No. 60
Formation enthalpy at 0 K (eV per atom): -2.744

---

(3)
A relaxed Ba4Sb2O9 crystal. Source: the Materials Project, functional meta-GGA r2SCAN.

Lattice parameters (Å, degrees): 6.0448 6.0448 16.9249 90.00 90.00 120.00
Element x y z (fractional)
O 0.3432 0.1716 0.3893
O 0.1716 0.8284 0.6107
O 0.8284 0.1716 0.3893
O 0.1716 0.8284 0.8893
O 0.1716 0.3432 0.8893
O 0.6568 0.8284 0.8893
O 0.5208 0.0416 0.2500
O 0.9584 0.4792 0.2500
O 0.8284 0.6568 0.3893
O 0.4792 0.5208 0.7500
O 0.8284 0.6568 0.1107
O 0.5208 0.4792 0.2500
O 0.6568 0.8284 0.6107
O 0.1716 0.3432 0.6107
O 0.4792 0.9584 0.7500
O 0.3432 0.1716 0.1107
O 0.8284 0.1716 0.1107
O 0.0416 0.5208 0.7500
Ba 0.6667 0.3333 0.8714
Ba 0.0000 0.0000 0.7500
Ba 0.6667 0.3333 0.6286
Ba 0.0000 0.0000 0.2500
Ba 0.3333 0.6667 0.3714
Ba 0.3333 0.6667 0.1286
Ba 0.0000 0.0000 0.5000
Ba 0.0000 0.0000 0.0000
Sb 0.3333 0.6667 0.6637
Sb 0.6667 0.3333 0.1637
Sb 0.3333 0.6667 0.8363
Sb 0.6667 0.3333 0.3363

Space-group type: No. 194
Formation enthalpy at 0 K (eV per atom): -2.453

---

(4)
A relaxed Y2Ga9Ir3 crystal. Source: the Materials Project, functional meta-GGA r2SCAN.

Lattice parameters (Å, degrees): 7.5033 7.5033 9.4730 90.00 90.00 119.81
Element x y z (fractional)
Ga 0.6655 0.9989 0.9214
Ga 0.9989 0.6655 0.9214
Ga 0.4558 0.6619 0.7500
Ga 0.5442 0.3381 0.2500
Ga 0.9989 0.6655 0.5786
Ga 0.0011 0.3345 0.4214
Ga 0.3339 0.3339 0.5662
Ga 0.6661 0.6661 0.0662
Ga 0.6619 0.4558 0.7500
Ga 0.8698 0.8698 0.7500
Ga 0.6661 0.6661 0.4338
Ga 0.3345 0.0011 0.0786
Ga 0.3339 0.3339 0.9338
Ga 0.3345 0.0011 0.4214
Ga 0.3381 0.5442 0.2500
Ga 0.0011 0.3345 0.0786
Ga 0.6655 0.9989 0.5786
Ga 0.1302 0.1302 0.2500
Ir 0.3287 0.6713 0.5000
Ir 0.6713 0.3287 0.0000
Ir 0.6713 0.3287 0.5000
Ir 0.0000 0.0000 0.0000
Ir 0.3287 0.6713 0.0000
Ir 0.0000 0.0000 0.5000
Y 0.6692 0.9977 0.2500
Y 0.9977 0.6692 0.2500
Y 0.0023 0.3308 0.7500
Y 0.3308 0.0023 0.7500

Space-group type: No. 63
Formation enthalpy at 0 K (eV per atom): -0.755

---

(5)
A relaxed CdP2O6 crystal. Source: the Materials Project, functional meta-GGA r2SCAN.

Lattice parameters (Å, degrees): 7.3845 7.4174 8.5358 90.00 90.00 90.00
Element x y z (fractional)
P 0.3821 0.4401 0.1609
P 0.6179 0.9401 0.3391
P 0.3444 0.8378 0.0952
P 0.1556 0.1622 0.5952
P 0.8444 0.6622 0.9048
P 0.8821 0.0599 0.8391
P 0.6556 0.3378 0.4048
P 0.1179 0.5599 0.6609
O 0.4169 0.6371 0.0980
O 0.8128 0.9197 0.2937
O 0.0418 0.6869 0.5438
O 0.6725 0.6468 0.8130
O 0.4582 0.3131 0.0438
O 0.4961 0.4412 0.3183
O 0.3275 0.1468 0.6870
O 0.1618 0.0983 0.4322
O 0.1725 0.8532 0.1870
O 0.1872 0.4197 0.2063
O 0.5831 0.1371 0.4020
O 0.0039 0.5588 0.8183
O 0.8382 0.5983 0.0678
O 0.6872 0.0803 0.7937
O 0.3128 0.5803 0.7063
O 0.9169 0.8629 0.9020
O 0.3382 0.9017 0.9322
O 0.8275 0.3532 0.3130
O 0.9961 0.0588 0.6817
O 0.5418 0.8131 0.4562
O 0.0831 0.3629 0.5980
O 0.9582 0.1869 0.9562
O 0.5039 0.9412 0.1817
O 0.6618 0.4017 0.5678
Cd 0.5228 0.3584 0.7934
Cd 0.0228 0.1416 0.2066
Cd 0.9772 0.6416 0.2934
Cd 0.4772 0.8584 0.7066

Space-group type: No. 19
Formation enthalpy at 0 K (eV per atom): -2.179

---

(6)
A relaxed NaCo3O6 crystal. Source: the Materials Project, functional meta-GGA r2SCAN.

Lattice parameters (Å, degrees): 4.8373 5.7504 8.3260 90.00 90.00 73.76
Element x y z (fractional)
O 0.2218 0.8275 0.1667
O 0.2271 0.8249 0.5015
O 0.2730 0.1750 0.3318
O 0.7270 0.8250 0.3318
O 0.7729 0.1751 0.5014
O 0.7782 0.1725 0.1667
O 0.7271 0.8250 0.0015
O 0.2729 0.1750 0.0015
O 0.2269 0.8251 0.8317
O 0.7731 0.1749 0.8317
O 0.7218 0.8274 0.6666
O 0.2782 0.1726 0.6666
Co 0.0000 0.0000 0.6666
Co 0.0000 0.0000 0.9986
Co 0.0000 0.0000 0.3347
Co 0.5000 0.0000 0.4986
Co 0.5000 0.0000 0.8347
Co 0.5000 0.0000 0.1666
Na 0.0000 0.5000 0.1674
Na 0.5000 0.5000 0.6667

Space-group type: No. 13
Formation enthalpy at 0 K (eV per atom): -1.337

---

(7)
A relaxed LuCoB4 crystal. Source: the Materials Project, functional meta-GGA r2SCAN.

Lattice parameters (Å, degrees): 3.3004 5.8201 11.2696 90.00 90.00 90.00
Element x y z (fractional)
B 0.0000 0.0222 0.1918
B 0.0000 0.1119 0.0467
B 0.0000 0.9778 0.8082
B 0.0000 0.8881 0.9533
B 0.0000 0.4778 0.6918
B 0.0000 0.7150 0.1851
B 0.0000 0.2150 0.3149
B 0.0000 0.6119 0.4533
B 0.0000 0.3624 0.9680
B 0.0000 0.2850 0.8148
B 0.0000 0.3881 0.5467
B 0.0000 0.8624 0.5320
B 0.0000 0.1376 0.4680
B 0.0000 0.5222 0.3082
B 0.0000 0.7850 0.6851
B 0.0000 0.6376 0.0320
Lu 0.5000 0.8714 0.3502
Lu 0.5000 0.3714 0.1499
Lu 0.5000 0.6286 0.8501
Lu 0.5000 0.1286 0.6498
Co 0.5000 0.1359 0.9101
Co 0.5000 0.8641 0.0899
Co 0.5000 0.3641 0.4101
Co 0.5000 0.6359 0.5899

Space-group type: No. 55
Formation enthalpy at 0 K (eV per atom): -0.650

---

(8)
A relaxed Y2AlZn crystal. Source: the Materials Project, functional meta-GGA r2SCAN.

Lattice parameters (Å, degrees): 5.0757 5.0757 5.0757 60.00 60.00 60.00
Element x y z (fractional)
Al 0.2500 0.2500 0.2500
Y 0.0000 0.0000 0.0000
Y 0.5000 0.5000 0.5000
Zn 0.7500 0.7500 0.7500

Space-group type: No. 225
Formation enthalpy at 0 K (eV per atom): -0.423

---

(9)
A relaxed Zn3P2 crystal. Source: the Materials Project, functional meta-GGA r2SCAN.

Lattice parameters (Å, degrees): 8.0364 8.0364 11.3200 90.00 90.00 90.00
Element x y z (fractional)
P 0.0041 0.9959 0.2500
P 0.4959 0.9959 0.2500
P 0.2500 0.2500 0.9957
P 0.7500 0.7500 0.5043
P 0.7500 0.2500 0.4961
P 0.2500 0.7500 0.9961
P 0.7500 0.2500 0.0039
P 0.2500 0.7500 0.5039
P 0.5041 0.4959 0.7500
P 0.9959 0.0041 0.7500
P 0.9959 0.4959 0.7500
P 0.7500 0.7500 0.0043
P 0.4959 0.5041 0.2500
P 0.5041 0.0041 0.7500
P 0.2500 0.2500 0.4957
P 0.0041 0.5041 0.2500
Zn 0.0325 0.7500 0.6435
Zn 0.9967 0.2500 0.8976
Zn 0.2500 0.9967 0.3976
Zn 0.4675 0.7500 0.6435
Zn 0.7500 0.4967 0.6024
Zn 0.4674 0.2500 0.6350
Zn 0.2500 0.4674 0.1350
Zn 0.7500 0.5326 0.8650
Zn 0.2500 0.5325 0.8565
Zn 0.9675 0.2500 0.3565
Zn 0.7500 0.9674 0.8650
Zn 0.5325 0.2500 0.3565
Zn 0.0326 0.2500 0.6350
Zn 0.7500 0.0033 0.6024
Zn 0.7500 0.4675 0.1435
Zn 0.4967 0.7500 0.1024
Zn 0.2500 0.9675 0.8565
Zn 0.2500 0.5033 0.3976
Zn 0.0033 0.7500 0.1024
Zn 0.5033 0.2500 0.8976
Zn 0.9674 0.7500 0.3650
Zn 0.7500 0.0325 0.1435
Zn 0.2500 0.0326 0.1350
Zn 0.5326 0.7500 0.3650

Energy relative to the lowest polymorph listed for this composition (eV per atom): 0.0000
Space-group type: No. 137
Formation enthalpy at 0 K (eV per atom): -0.257

---

(10)
A relaxed Dy2FeCo3 crystal. Source: the Materials Project, functional meta-GGA r2SCAN.

Lattice parameters (Å, degrees): 4.9823 4.9823 4.9823 62.89 62.89 62.89
Element x y z (fractional)
Dy 0.6274 0.6274 0.6274
Dy 0.3726 0.3726 0.3726
Fe 0.0000 0.0000 0.0000
Co 0.0000 0.0000 0.5000
Co 0.0000 0.5000 0.0000
Co 0.5000 0.0000 0.0000

Space-group type: No. 166
Formation enthalpy at 0 K (eV per atom): -0.134

---

(11)
A relaxed Sr4In13Au9 crystal. Source: the Materials Project, functional meta-GGA r2SCAN.

Lattice parameters (Å, degrees): 12.7324 12.7325 4.4993 90.00 90.00 120.00
Element x y z (fractional)
Sr 0.5878 0.7939 0.5000
Sr 0.6667 0.3333 0.0000
Sr 0.2061 0.4122 0.5000
Sr 0.2061 0.7939 0.5000
Au 0.4548 0.9095 0.0000
Au 0.4280 0.2140 0.5000
Au 0.0905 0.5452 0.0000
Au 0.0888 0.1777 0.0000
Au 0.0888 0.9112 0.0000
Au 0.7860 0.2140 0.5000
Au 0.8223 0.9111 0.0000
Au 0.4548 0.5452 0.0000
Au 0.7860 0.5721 0.5000
In 0.3432 0.0503 0.0000
In 0.9497 0.2929 0.0000
In 0.1651 0.0826 0.5000
In 0.7071 0.0503 0.0000
In 0.9497 0.6568 0.0000
In 0.9348 0.4674 0.5000
In 0.9174 0.8349 0.5000
In 0.7071 0.6568 0.0000
In 0.5326 0.4674 0.5000
In 0.9174 0.0826 0.5000
In 0.5326 0.0652 0.5000
In 0.3333 0.6667 0.0000
In 0.3432 0.2929 0.0000

Space-group type: No. 187
Formation enthalpy at 0 K (eV per atom): -0.554

---

(12)
A relaxed MgPd5 crystal. Source: the Materials Project, functional meta-GGA r2SCAN.

Lattice parameters (Å, degrees): 4.5107 4.8277 4.8274 59.98 90.00 90.00
Element x y z (fractional)
Pd 0.0000 0.6668 0.6686
Pd 0.5000 0.9999 0.6668
Pd 0.0000 0.3314 0.3333
Pd 0.5000 0.3332 0.0001
Pd 0.0000 0.0022 0.9978
Mg 0.5000 0.6665 0.3335

Space-group type: No. 189
Formation enthalpy at 0 K (eV per atom): -0.304

---

(13)
A relaxed AcYbCd2 crystal. Source: the Materials Project, functional meta-GGA r2SCAN.

Lattice parameters (Å, degrees): 5.5035 5.5035 5.5035 60.00 60.00 60.00
Element x y z (fractional)
Cd 0.2500 0.2500 0.2500
Cd 0.7500 0.7500 0.7500
Yb 0.0000 0.0000 0.0000
Ac 0.5000 0.5000 0.5000

Space-group type: No. 225
Formation enthalpy at 0 K (eV per atom): -0.287

---

(14)
A relaxed PI3 crystal. Source: the Materials Project, functional meta-GGA r2SCAN.

Lattice parameters (Å, degrees): 7.2746 7.2746 7.6392 90.00 90.00 120.00
Element x y z (fractional)
I 0.6930 0.0386 0.5025
I 0.0386 0.3456 0.0025
I 0.9614 0.6544 0.5025
I 0.3456 0.3070 0.5025
I 0.3070 0.9614 0.0025
I 0.6544 0.6930 0.0025
P 0.6667 0.3333 0.6385
P 0.3333 0.6667 0.1385

Space-group type: No. 173
Formation enthalpy at 0 K (eV per atom): -0.071